1.
Rb2CrI2Cl2 after structural relaxation. Source: the Materials Project, functional GGA-PBE.

Cell lengths 9.720, 9.720, 7.494 Å; angles 90.00, 90.00, 134.65 degrees
Fractional coordinates of all 14 atoms:
Cl  0.729  0.729  0.729
Cl  0.229  0.229  0.771
Cl  0.771  0.771  0.229
Cl  0.271  0.271  0.271
Rb  0.626  0.374  0.000
Rb  0.126  0.874  0.500
Rb  0.874  0.126  0.500
Rb  0.374  0.626  0.000
I  0.656  0.344  0.500
I  0.344  0.656  0.500
I  0.844  0.156  0.000
I  0.156  0.844  0.000
Cr  0.500  0.500  0.500
Cr  0.000  0.000  0.000

* total moment: 4.00 μB per formula unit
* raw total energy: -3.907 eV per atom
* energy of formation from the pure elements: -1.4599 eV/atom
* density: 3.6 g/cm³
* crystal system: orthorhombic
* MP2020-corrected energy: -57.2 eV for the cell shown

***

2.
Rb2CrI2Cl2 after structural relaxation. Source: the Materials Project, functional GGA-PBE.

Cell lengths 9.223, 13.629, 9.494 Å; angles 90.00, 60.94, 90.00 degrees
Fractional coordinates of all 14 atoms:
Cl  0.755  0.055  0.000
Cl  0.255  0.445  0.000
Cl  0.245  0.945  0.000
Cl  0.745  0.555  0.000
Rb  0.884  0.500  0.232
Rb  0.616  0.000  0.768
Rb  0.116  0.500  0.768
Rb  0.384  0.000  0.232
Cr  0.500  0.500  0.000
Cr  0.000  0.000  0.000
I  0.596  0.311  0.000
I  0.096  0.189  0.000
I  0.404  0.689  0.000
I  0.904  0.811  0.000

* total moment: 4.00 μB per formula unit
* raw total energy: -3.616 eV per atom
* energy of formation from the pure elements: -1.1684 eV/atom
* density: 1.7 g/cm³
* crystal system: orthorhombic
* MP2020-corrected energy: -53.1 eV for the cell shown

***

3.
K2NaCrCl6 after structural relaxation. Source: the Materials Project, functional GGA-PBE.

Cell lengths 7.194, 7.194, 7.194 Å; angles 60.00, 60.00, 60.00 degrees
Fractional coordinates of all 10 atoms:
Cl  0.768  0.768  0.232
Cl  0.768  0.232  0.768
Cl  0.768  0.232  0.232
Cl  0.232  0.768  0.768
Cl  0.232  0.768  0.232
Cl  0.232  0.232  0.768
Cr  0.000  0.000  0.000
Na  0.500  0.500  0.500
K  0.250  0.250  0.250
K  0.750  0.750  0.750

* total moment: 3.00 μB per formula unit
* raw total energy: -4.024 eV per atom
* energy of formation from the pure elements: -1.9641 eV/atom
* density: 2.3 g/cm³
* crystal system: cubic
* MP2020-corrected energy: -43.9 eV for the cell shown